Computed, not measured: a relaxed structure of ZrAsPd at the r²SCAN level of DFT.

Its formation energy is -998 meV/atom.

The structure belongs to space group Pmmn (No. 59, origin choice 2); the cell edges are 3.906, 19.593 and 6.763 Å and the angles 90.00°, 90.00° and 90.00°. The distinct sites, in fractional coordinates, are Zr at (0.250, 0.067, 0.028), Zr at (0.250, 0.128, 0.543), Zr at (0.250, 0.250, 0.155), As at (0.250, 0.250, 0.748), As at (0.250, 0.553, 0.260), As at (0.250, 0.652, 0.757), Pd at (0.250, 0.528, 0.648), Pd at (0.250, 0.674, 0.119) and Pd at (0.250, 0.750, 0.511).



Computed, not measured: a relaxed structure of MgCo2 at the r²SCAN level of DFT.

Its formation energy is 18 meV/atom.

The structure belongs to space group P6_3/mmc (No. 194); the cell edges are 4.8072, 4.8072 and 7.8603 Å and the angles 90.00°, 90.00° and 120.00°. The distinct sites, in fractional coordinates, are Mg at (0.3333, 0.6667, 0.0616), Co at (0.0000, 0.0000, 0.0000) and Co at (0.1697, 0.3394, 0.7500).



Computed, not measured: a relaxed structure of PrB2Rh3 at the r²SCAN level of DFT.

Its formation energy is -708 meV/atom.

The structure belongs to space group P6/mmm (No. 191); the cell edges are 5.4691, 5.4691 and 3.1400 Å and the angles 90.00°, 90.00° and 120.00°. The distinct sites, in fractional coordinates, are Pr at (0.0000, 0.0000, 0.0000), B at (0.3333, 0.6667, 0.0000) and Rh at (0.0000, 0.5000, 0.5000).



Computed, not measured: a relaxed structure of TbRh2Pb at the r²SCAN level of DFT.

Its formation energy is -613 meV/atom.

The structure belongs to space group Fm-3m (No. 225); the cell edges are 6.711, 6.711 and 6.711 Å and the angles 90.00°, 90.00° and 90.00°. The distinct sites, in fractional coordinates, are Tb at (0.000, 0.000, 0.000), Rh at (0.250, 0.250, 0.250) and Pb at (0.000, 0.000, 0.500).